1.
Mn4ZnCu3O12 | PBE with a Hubbard U | relaxed

Unit cell a=6.348 b=6.362 c=6.396 alpha=107.27 beta=109.89 gamma=110.98
Space group P-1 (No. 2)
Inequivalent atoms, fractional coordinates:
Mn 0.000 0.000 0.000 (multiplicity 1)
Mn 0.000 0.500 0.500 (multiplicity 1)
Mn 0.500 0.000 0.500 (multiplicity 1)
Mn 0.500 0.500 0.000 (multiplicity 1)
Zn 0.000 0.000 0.500 (multiplicity 1)
Cu 0.000 0.500 0.000 (multiplicity 1)
Cu 0.500 0.000 0.000 (multiplicity 1)
Cu 0.500 0.500 0.500 (multiplicity 1)
O 0.139 0.322 0.349 (multiplicity 2)
O 0.174 0.493 0.814 (multiplicity 2)
O 0.180 0.861 0.190 (multiplicity 2)
O 0.299 0.836 0.635 (multiplicity 2)
O 0.307 0.176 0.983 (multiplicity 2)
O 0.475 0.296 0.659 (multiplicity 2)

Summary:
Energy above the lowest structure with this stoichiometry = 0.23 eV per formula unit
Crystal system = triclinic
Total magnetic moment = 6.924 μB/f.u.
Total energy = -6.181 eV per atom



2.
Na3Cu2Mo3O12 | PBE with a Hubbard U | relaxed

Unit cell a=12.329 b=14.359 c=7.025 alpha=90.00 beta=112.02 gamma=90.00
Space group C2/c (No. 15)
Inequivalent atoms, fractional coordinates:
Na 0.000 0.000 0.000 (multiplicity 4)
Na 0.000 0.233 0.250 (multiplicity 4)
Na 0.000 0.481 0.750 (multiplicity 4)
Cu 0.212 0.339 0.120 (multiplicity 8)
Mo 0.000 0.219 0.750 (multiplicity 4)
Mo 0.228 0.396 0.619 (multiplicity 8)
O 0.045 0.292 0.978 (multiplicity 8)
O 0.114 0.141 0.745 (multiplicity 8)
O 0.120 0.079 0.311 (multiplicity 8)
O 0.144 0.498 0.086 (multiplicity 8)
O 0.175 0.333 0.379 (multiplicity 8)
O 0.211 0.331 0.828 (multiplicity 8)

Summary:
Crystal system = monoclinic
Total magnetic moment = 1.001 μB/f.u.
Total energy = -6.155 eV per atom



3.
Cu3Mo4O12 | PBE with a Hubbard U | relaxed

Unit cell a=6.560 b=6.575 c=6.576 alpha=109.46 beta=109.39 gamma=109.43
Space group P-1 (No. 2)
Inequivalent atoms, fractional coordinates:
Cu 0.000 0.000 0.000 (multiplicity 1)
Cu 0.000 0.500 0.500 (multiplicity 1)
Cu 0.500 0.000 0.500 (multiplicity 1)
Mo 0.000 0.000 0.500 (multiplicity 1)
Mo 0.000 0.500 0.000 (multiplicity 1)
Mo 0.500 0.000 0.000 (multiplicity 1)
Mo 0.500 0.500 0.500 (multiplicity 1)
O 0.007 0.311 0.680 (multiplicity 2)
O 0.181 0.367 0.175 (multiplicity 2)
O 0.185 0.008 0.816 (multiplicity 2)
O 0.322 0.192 0.508 (multiplicity 2)
O 0.329 0.821 0.133 (multiplicity 2)
O 0.365 0.685 0.693 (multiplicity 2)

Summary:
Energy above the lowest structure with this stoichiometry = 0.10 eV per formula unit
Crystal system = triclinic
Total magnetic moment = 3.000 μB/f.u.
Total energy = -6.591 eV per atom